Entry from the Materials Project: Sm4Ga7Ag5 after structural relaxation (PBE).

Computed properties:
- Calculated volume: 327.1 Å³/cell
- E_form: -494 meV per atom

abc: 4.443 7.099 10.371
angles: 89.77 90.00 90.00
Sites, in units of the cell vectors:
Sm: 0.500 0.783 0.170
Sm: 0.000 0.717 0.670
Sm: 0.000 0.216 0.831
Sm: 0.500 0.282 0.330
Ga: 0.000 0.298 0.537
Ga: 0.500 0.203 0.038
Ga: 0.000 0.797 0.962
Ga: 0.500 0.922 0.848
Ga: 0.000 0.079 0.152
Ga: 0.500 0.422 0.652
Ga: 0.000 0.578 0.348
Ag: 0.000 0.960 0.402
Ag: 0.000 0.459 0.098
Ag: 0.500 0.043 0.599
Ag: 0.500 0.541 0.902
Ag: 0.500 0.700 0.461

=====

Entry from the Materials Project: Sm2GaAg after structural relaxation (PBE).

Computed properties:
- Calculated volume: 101.1 Å³/cell
- E_form: -428 meV per atom

abc: 5.228 5.228 5.228
angles: 60.00 60.00 60.00
Sites, in units of the cell vectors:
Ga: 0.000 0.000 0.000
Ag: 0.500 0.500 0.500
Sm: 0.250 0.250 0.250
Sm: 0.750 0.750 0.750

=====

Entry from the Materials Project: TbGa2Ag after structural relaxation (PBE).

Computed properties:
- Calculated volume: 312.8 Å³/cell
- E_form: -520 meV per atom

abc: 4.379 6.964 10.256
angles: 90.00 90.00 90.00
Sites, in units of the cell vectors:
Ag: 0.250 0.043 0.402
Ag: 0.250 0.543 0.098
Ag: 0.750 0.957 0.598
Ag: 0.750 0.457 0.902
Tb: 0.250 0.780 0.828
Tb: 0.250 0.280 0.672
Tb: 0.750 0.720 0.328
Tb: 0.750 0.220 0.172
Ga: 0.250 0.928 0.153
Ga: 0.750 0.572 0.653
Ga: 0.750 0.796 0.037
Ga: 0.250 0.204 0.963
Ga: 0.750 0.072 0.847
Ga: 0.250 0.428 0.347
Ga: 0.750 0.296 0.463
Ga: 0.250 0.704 0.537

=====

Entry from the Materials Project: TbGaAg after structural relaxation (PBE).

Computed properties:
- Calculated volume: 129.4 Å³/cell
- E_form: -484 meV per atom

abc: 5.726 5.726 7.238
angles: 52.03 52.03 47.42
Sites, in units of the cell vectors:
Ag: 0.827 0.827 0.723
Ag: 0.173 0.173 0.277
Ga: 0.159 0.159 0.885
Ga: 0.841 0.841 0.115
Tb: 0.536 0.536 0.708
Tb: 0.464 0.464 0.292

=====

Entry from the Materials Project: Tb4Ga12Ag after structural relaxation (PBE).

Computed properties:
- Calculated volume: 333.8 Å³/cell
- E_form: -519 meV per atom

abc: 7.569 7.569 7.569
angles: 109.47 109.47 109.47
Sites, in units of the cell vectors:
Tb: 0.500 0.500 0.500
Tb: 0.000 0.000 0.500
Tb: 0.500 0.000 0.000
Tb: 0.000 0.500 0.000
Ga: 0.250 0.500 0.750
Ga: 0.000 0.694 0.694
Ga: 0.250 0.750 0.500
Ga: 0.000 0.306 0.306
Ga: 0.306 0.306 0.000
Ga: 0.500 0.250 0.750
Ga: 0.750 0.500 0.250
Ga: 0.694 0.694 0.000
Ga: 0.306 0.000 0.306
Ga: 0.750 0.250 0.500
Ga: 0.500 0.750 0.250
Ga: 0.694 0.000 0.694
Ag: 0.000 0.000 0.000

=====

Entry from the Materials Project: Ga12Ag2Te19 after structural relaxation (PBE).

Computed properties:
- Calculated volume: 1154.7 Å³/cell
- M_tot: 0.0 μB per formula unit
- E_form: -502 meV per atom

abc: 10.455 10.502 10.518
angles: 89.12 89.77 89.56
Sites, in units of the cell vectors:
Ga: 0.991 0.668 0.922
Ga: 0.582 0.834 0.503
Ga: 0.906 0.749 0.591
Ga: 0.412 0.253 0.090
Ga: 0.503 0.169 0.420
Ga: 0.077 0.328 0.010
Ga: 0.125 0.159 0.328
Ga: 0.037 0.403 0.620
Ga: 0.403 0.881 0.185
Ga: 0.809 0.122 0.600
Ga: 0.675 0.841 0.873
Ga: 0.386 0.592 0.969
Te: 0.815 0.930 0.431
Te: 0.416 0.837 0.924
Te: 0.159 0.920 0.251
Te: 0.417 0.000 0.584
Te: 0.010 0.569 0.441
Te: 0.913 0.433 0.835
Te: 0.084 0.819 0.749
Te: 0.686 0.317 0.497
Te: 0.571 0.071 0.186
Te: 0.809 0.755 0.073
Te: 0.077 0.160 0.586
Te: 0.926 0.244 0.194
Te: 0.563 0.430 0.989
Te: 0.317 0.326 0.321
Te: 0.490 0.683 0.324
Te: 0.166 0.564 0.085
Te: 0.249 0.176 0.920
Te: 0.752 0.078 0.843
Te: 0.676 0.670 0.684
Ag: 0.241 0.696 0.418
Ag: 0.918 0.003 0.074

=====

Entry from the Materials Project: GaAgTe2 after structural relaxation (PBE).

Computed properties:
- Calculated volume: 127.4 Å³/cell
- M_tot: 0.0 μB per formula unit
- E_form: -473 meV per atom

abc: 4.418 4.418 6.528
angles: 90.00 90.00 90.00
Sites, in units of the cell vectors:
Ag: 0.000 0.000 0.000
Ga: 0.500 0.500 0.500
Te: 0.000 0.500 0.260
Te: 0.500 0.000 0.740

=====

Entry from the Materials Project: GaAgTe2 after structural relaxation (PBE).

Computed properties:
- Calculated volume: 253.9 Å³/cell
- E_form: -501 meV per atom
- Maximum piezoelectric response: 0.18 C/m2

abc: 7.659 7.659 7.659
angles: 130.50 130.50 72.61
Sites, in units of the cell vectors:
Ga: 0.500 0.500 0.000
Ga: 0.250 0.750 0.500
Ag: 0.000 0.000 0.000
Ag: 0.750 0.250 0.500
Te: 0.142 0.125 0.517
Te: 0.875 0.392 0.017
Te: 0.375 0.858 0.983
Te: 0.608 0.625 0.483